Record 1
Here is Nb5S8 after structural relaxation from the Materials Project. Energies are from PBE.

abc: 5.8160 5.8160 25.4342
angles: 90.00 90.00 120.00
Closest atoms and distances in Å follow each position.
Fractional coordinates of all 39 atoms:
1 Nb 0.0000 0.0000 0.0000  6 S 2.52
2 Nb 0.0000 0.0000 0.1258  6 S 2.50-2.52
3 Nb 0.0000 0.0000 0.3758  6 S 2.49-2.51
4 Nb 0.0000 0.0000 0.6242  6 S 2.49-2.51
5 Nb 0.0000 0.0000 0.8742  6 S 2.50-2.52
6 Nb 0.3333 0.6667 0.1246  6 S 2.49-2.52
7 Nb 0.3333 0.6667 0.2520  6 S 2.48-2.54
8 Nb 0.3333 0.6667 0.3765  6 S 2.48-2.52
9 Nb 0.3333 0.6667 0.6235  6 S 2.48-2.52
10 Nb 0.3333 0.6667 0.7480  6 S 2.48-2.54
11 Nb 0.3333 0.6667 0.8754  6 S 2.49-2.52
12 Nb 0.6667 0.3333 0.1251  6 S 2.50
13 Nb 0.6667 0.3333 0.3758  6 S 2.49-2.51
14 Nb 0.6667 0.3333 0.6242  6 S 2.49-2.51
15 Nb 0.6667 0.3333 0.8749  6 S 2.50
16 S 0.0007 0.3338 0.6868  4 Nb 2.48-2.52
17 S 0.0007 0.6668 0.3132  4 Nb 2.48-2.52
18 S 0.3333 0.0009 0.5627  3 Nb 2.48-2.49
19 S 0.3333 0.3324 0.4373  3 Nb 2.48-2.49
20 S 0.3332 0.3338 0.3132  4 Nb 2.48-2.52
21 S 0.3332 0.9993 0.6868  4 Nb 2.48-2.52
22 S 0.3345 0.0007 0.0629  4 Nb 2.49-2.52
23 S 0.3347 0.0015 0.1875  4 Nb 2.50-2.54
24 S 0.3347 0.3332 0.8125  4 Nb 2.50-2.54
25 S 0.3345 0.3338 0.9371  4 Nb 2.49-2.52
26 S 0.6662 0.0007 0.9371  4 Nb 2.49-2.52
27 S 0.6662 0.6655 0.0629  4 Nb 2.49-2.52
28 S 0.6662 0.6668 0.6868  4 Nb 2.48-2.52
29 S 0.6662 0.9993 0.3132  4 Nb 2.48-2.52
30 S 0.6668 0.0015 0.8125  4 Nb 2.50-2.54
31 S 0.6668 0.6653 0.1875  4 Nb 2.50-2.54
32 S 0.6676 0.0009 0.4373  3 Nb 2.48-2.49
33 S 0.6676 0.6667 0.5627  3 Nb 2.48-2.49
34 S 0.9991 0.3324 0.5627  3 Nb 2.48-2.49
35 S 0.9985 0.3332 0.1875  4 Nb 2.50-2.54
36 S 0.9993 0.3338 0.0629  4 Nb 2.49-2.52
37 S 0.9985 0.6653 0.8125  4 Nb 2.50-2.54
38 S 0.9993 0.6655 0.9371  4 Nb 2.49-2.52
39 S 0.9991 0.6667 0.4373  3 Nb 2.48-2.49

Record 2
Here is RbEuP4O12 after structural relaxation from the Materials Project. Energies are from PBE.

abc: 10.6597 9.1508 13.0458
angles: 90.00 124.75 90.00
Closest atoms and distances in Å follow each position.
Fractional coordinates of all 72 atoms:
1 Rb 0.2421 0.0657 0.0414  7 O 2.97-3.30
2 Rb 0.2421 0.4343 0.5414  7 O 2.97-3.30
3 Rb 0.7579 0.5657 0.4586  7 O 2.97-3.30
4 Rb 0.7579 0.9343 0.9586  7 O 2.97-3.30
5 Eu 0.3161 0.7263 0.8159  8 O 2.39-2.55
6 Eu 0.3161 0.7737 0.3159  8 O 2.39-2.55
7 Eu 0.6839 0.2263 0.6841  8 O 2.39-2.55
8 Eu 0.6839 0.2737 0.1841  8 O 2.39-2.55
9 P 0.0272 0.0284 0.2764  4 O 1.50-1.63
10 P 0.0272 0.4716 0.7764  4 O 1.50-1.63
11 P 0.1990 0.6032 0.0217  4 O 1.50-1.62
12 P 0.1990 0.8968 0.5217  4 O 1.50-1.62
13 P 0.3203 0.1729 0.3603  4 O 1.50-1.63
14 P 0.3203 0.3271 0.8603  4 O 1.50-1.63
15 P 0.3845 0.0941 0.7404  4 O 1.50-1.63
16 P 0.3845 0.4059 0.2404  4 O 1.50-1.63
17 P 0.6155 0.5941 0.7596  4 O 1.50-1.63
18 P 0.6155 0.9059 0.2596  4 O 1.50-1.63
19 P 0.6797 0.6729 0.1397  4 O 1.50-1.63
20 P 0.6797 0.8271 0.6397  4 O 1.50-1.63
21 P 0.8010 0.1032 0.4783  4 O 1.50-1.62
22 P 0.8010 0.3968 0.9783  4 O 1.50-1.62
23 P 0.9728 0.5284 0.2236  4 O 1.50-1.63
24 P 0.9728 0.9716 0.7236  4 O 1.50-1.63
25 O 0.0434 0.5413 0.8984  2 P 1.62-1.63
26 O 0.0434 0.9587 0.3984  2 P 1.62-1.63
27 O 0.0685 0.5819 0.7145  1 P 1.51
28 O 0.0685 0.9181 0.2145  1 P 1.51
29 O 0.1287 0.5951 0.3027  1 P 1.50
30 O 0.1287 0.9049 0.8027  1 P 1.50
31 O 0.1538 0.1586 0.3370  2 P 1.63
32 O 0.1538 0.3414 0.8370  2 P 1.63
33 O 0.1630 0.7069 0.0909  1 P 1.50
34 O 0.1630 0.7931 0.5909  1 P 1.50
35 O 0.2638 0.0503 0.5962  2 P 1.61-1.62
36 O 0.2638 0.4497 0.0962  2 P 1.61-1.62
37 O 0.2758 0.2081 0.7515  2 P 1.63
38 O 0.2758 0.2919 0.2515  2 P 1.63
39 O 0.3009 0.6582 0.9850  1 P 1.50
40 O 0.3009 0.8418 0.4850  1 P 1.50
41 O 0.3620 0.0336 0.3258  1 P 1.50
42 O 0.3620 0.4664 0.8258  1 P 1.50
43 O 0.4214 0.5356 0.3236  1 P 1.50
44 O 0.4214 0.9644 0.8236  1 P 1.50
45 O 0.4237 0.2412 0.4861  1 P 1.50
46 O 0.4237 0.2588 0.9861  1 P 1.50
47 O 0.4858 0.6767 0.7464  1 P 1.50
48 O 0.4858 0.8233 0.2464  1 P 1.50
49 O 0.5142 0.1767 0.7536  1 P 1.50
50 O 0.5142 0.3233 0.2536  1 P 1.50
51 O 0.5763 0.7412 0.0139  1 P 1.50
52 O 0.5763 0.7588 0.5139  1 P 1.50
53 O 0.5786 0.0356 0.1764  1 P 1.50
54 O 0.5786 0.4644 0.6764  1 P 1.50
55 O 0.6380 0.5336 0.1742  1 P 1.50
56 O 0.6380 0.9664 0.6742  1 P 1.50
57 O 0.6991 0.1582 0.5150  1 P 1.50
58 O 0.6991 0.3418 0.0150  1 P 1.50
59 O 0.7242 0.7081 0.7485  2 P 1.63
60 O 0.7242 0.7919 0.2485  2 P 1.63
61 O 0.7362 0.5503 0.9038  2 P 1.61-1.62
62 O 0.7362 0.9497 0.4038  2 P 1.61-1.62
63 O 0.8370 0.2069 0.4091  1 P 1.50
64 O 0.8370 0.2931 0.9091  1 P 1.50
65 O 0.8462 0.6586 0.1630  2 P 1.63
66 O 0.8462 0.8414 0.6630  2 P 1.63
67 O 0.8713 0.0951 0.1973  1 P 1.50
68 O 0.8713 0.4049 0.6973  1 P 1.50
69 O 0.9315 0.0819 0.7855  1 P 1.51
70 O 0.9315 0.4181 0.2855  1 P 1.51
71 O 0.9566 0.0413 0.6016  2 P 1.62-1.63
72 O 0.9566 0.4587 0.1016  2 P 1.62-1.63

Calculated values
Total magnetization: 24.0 μB/cell

Record 3
Here is TiZnO2 after structural relaxation from the Materials Project. Energies are from PBE.

abc: 7.4463 7.4463 11.2990
angles: 120.68 120.68 22.84
Closest atoms and distances in Å follow each position.
Fractional coordinates of all 16 atoms:
1 Ti 0.1167 0.1167 0.2253  5 O 1.84-2.04
2 Ti 0.3531 0.3531 0.0370  6 O 1.99-2.08
3 Ti 0.6469 0.6469 0.9630  6 O 1.99-2.08
4 Ti 0.8833 0.8833 0.7747  5 O 1.84-2.04
5 Zn 0.1369 0.1369 0.6407  1 O 2.02
6 Zn 0.4717 0.4717 0.5949  1 O 2.34
7 Zn 0.5283 0.5283 0.4051  1 O 2.34
8 Zn 0.8631 0.8631 0.3593  1 O 2.02
9 O 0.1239 0.1239 0.0674  3 Ti 1.84-2.02
10 O 0.1909 0.1909 0.8832  3 Ti 2.00-2.08
11 O 0.2880 0.2880 0.6786  2 Ti 1.93, 1 Zn 2.02
12 O 0.4928 0.4928 0.8151  3 Ti 1.99-2.04
13 O 0.5072 0.5072 0.1849  3 Ti 1.99-2.04
14 O 0.7120 0.7120 0.3214  2 Ti 1.93, 1 Zn 2.02
15 O 0.8091 0.8091 0.1168  3 Ti 2.00-2.08
16 O 0.8761 0.8761 0.9326  3 Ti 1.84-2.02

Calculated values
Total magnetization: 1.1 μB/cell

Record 4
Here is ReCNCl3O2 after structural relaxation from the Materials Project. Energies are from PBE.

abc: 9.3417 9.3417 17.2597
angles: 111.69 111.69 53.80
Closest atoms and distances in Å follow each position.
Fractional coordinates of all 32 atoms:
1 Re 0.0203 0.0706 0.2161  3 Cl 2.23-2.26, 1 Re 2.27
2 Re 0.0706 0.0203 0.7161  3 Cl 2.23-2.26, 1 Re 2.27
3 Re 0.9294 0.9797 0.2839  3 Cl 2.23-2.26, 1 Re 2.27
4 Re 0.9797 0.9294 0.7839  3 Cl 2.23-2.26, 1 Re 2.27
5 C 0.2748 0.4071 0.5908  2 O 1.18
6 C 0.4071 0.2748 0.0908  2 O 1.18
7 C 0.5929 0.7252 0.9092  2 O 1.18
8 C 0.7252 0.5929 0.4092  2 O 1.18
9 N 0.1282 0.6007 0.3841  2 O 3.09-3.13, 2 Cl 3.24-3.39
10 N 0.3993 0.8718 0.1159  2 O 3.09-3.13, 2 Cl 3.24-3.39
11 N 0.6007 0.1282 0.8841  2 O 3.09-3.13, 2 Cl 3.24-3.39
12 N 0.8718 0.3993 0.6159  2 O 3.09-3.13, 2 Cl 3.24-3.39
13 Cl 0.0298 0.8838 0.0868  1 Re 2.26
14 Cl 0.0678 0.2654 0.8053  1 Re 2.23
15 Cl 0.1162 0.9702 0.4132  1 Re 2.26
16 Cl 0.2158 0.6706 0.8277  1 Re 2.26
17 Cl 0.2654 0.0678 0.3053  1 Re 2.23
18 Cl 0.3294 0.7842 0.6723  1 Re 2.26
19 Cl 0.6706 0.2158 0.3277  1 Re 2.26
20 Cl 0.7346 0.9322 0.6947  1 Re 2.23
21 Cl 0.7842 0.3294 0.1723  1 Re 2.26
22 Cl 0.8838 0.0298 0.5868  1 Re 2.26
23 Cl 0.9322 0.7346 0.1947  1 Re 2.23
24 Cl 0.9702 0.1162 0.9132  1 Re 2.26
25 O 0.2295 0.3798 0.6364  1 C 1.18
26 O 0.3197 0.4344 0.5451  1 C 1.18
27 O 0.3798 0.2295 0.1364  1 C 1.18
28 O 0.4344 0.3197 0.0451  1 C 1.18
29 O 0.5656 0.6803 0.9549  1 C 1.18
30 O 0.6202 0.7705 0.8636  1 C 1.18
31 O 0.6803 0.5656 0.4549  1 C 1.18
32 O 0.7705 0.6202 0.3636  1 C 1.18

Calculated values
Total magnetization: 16.0 μB/cell

Record 5
Here is Sr5P3ClO12 after structural relaxation from the Materials Project. Energies are from PBE.

abc: 10.0720 10.0720 7.2209
angles: 90.00 90.00 120.00
Closest atoms and distances in Å follow each position.
Fractional coordinates of all 42 atoms:
1 Sr 0.0005 0.7462 0.2500  5 O 2.45-2.68
2 Sr 0.2544 0.0005 0.7500  5 O 2.45-2.68
3 Sr 0.2538 0.2544 0.2500  5 O 2.45-2.68
4 Sr 0.3333 0.6667 0.5019  6 O 2.59-2.60
5 Sr 0.3333 0.6667 0.9981  6 O 2.59-2.60
6 Sr 0.6667 0.3333 0.0019  6 O 2.59-2.60
7 Sr 0.6667 0.3333 0.4981  6 O 2.59-2.60
8 Sr 0.7462 0.7456 0.7500  5 O 2.45-2.68
9 Sr 0.7456 0.9995 0.2500  5 O 2.45-2.68
10 Sr 0.9995 0.2538 0.7500  5 O 2.45-2.68
11 P 0.0338 0.4082 0.2500  4 O 1.55-1.57
12 P 0.3744 0.9662 0.2500  4 O 1.55-1.57
13 P 0.4082 0.3744 0.7500  4 O 1.55-1.57
14 P 0.5918 0.6256 0.2500  4 O 1.55-1.57
15 P 0.6256 0.0338 0.7500  4 O 1.55-1.57
16 P 0.9662 0.5918 0.7500  4 O 1.55-1.57
17 Cl 0.0000 0.0000 0.0000  6 Sr 3.13, 6 O 3.28
18 Cl 0.0000 0.0000 0.5000  6 Sr 3.13, 6 O 3.28
19 O 0.0864 0.3557 0.0757  1 P 1.56
20 O 0.0864 0.3557 0.4243  1 P 1.56
21 O 0.1226 0.5877 0.2500  1 P 1.57
22 O 0.1424 0.6566 0.7500  1 P 1.55
23 O 0.2693 0.9136 0.0757  1 P 1.56
24 O 0.2693 0.9136 0.4243  1 P 1.56
25 O 0.3434 0.4857 0.7500  1 P 1.55
26 O 0.3557 0.2693 0.5757  1 P 1.56
27 O 0.3557 0.2693 0.9243  1 P 1.56
28 O 0.4123 0.5349 0.2500  1 P 1.57
29 O 0.4651 0.8774 0.2500  1 P 1.57
30 O 0.4857 0.1424 0.2500  1 P 1.55
31 O 0.5143 0.8576 0.7500  1 P 1.55
32 O 0.5349 0.1226 0.7500  1 P 1.57
33 O 0.5877 0.4651 0.7500  1 P 1.57
34 O 0.6443 0.7307 0.0757  1 P 1.56
35 O 0.6443 0.7307 0.4243  1 P 1.56
36 O 0.6566 0.5143 0.2500  1 P 1.55
37 O 0.7307 0.0864 0.5757  1 P 1.56
38 O 0.7307 0.0864 0.9243  1 P 1.56
39 O 0.8576 0.3434 0.2500  1 P 1.55
40 O 0.8774 0.4123 0.7500  1 P 1.57
41 O 0.9136 0.6443 0.5757  1 P 1.56
42 O 0.9136 0.6443 0.9243  1 P 1.56

Calculated values
Total magnetization: 0.0 μB/cell

Record 6
Here is ErSi2Rh3 after structural relaxation from the Materials Project. Energies are from PBE.

abc: 6.6136 6.6136 6.6136
angles: 114.17 86.72 130.36
Closest atoms and distances in Å follow each position.
Fractional coordinates of all 12 atoms:
1 Er 0.4522 0.2022 0.2500  6 Rh 3.07-3.09, 6 Si 3.19-3.27
2 Er 0.5478 0.7978 0.7500  6 Rh 3.07-3.09, 6 Si 3.19-3.27
3 Si 0.1147 0.6931 0.4216  6 Rh 2.41-2.46, 1 Si 2.62
4 Si 0.2285 0.3069 0.9216  6 Rh 2.41-2.46, 1 Si 2.62
5 Si 0.7715 0.6931 0.0784  6 Rh 2.41-2.46, 1 Si 2.62
6 Si 0.8853 0.3069 0.5784  6 Rh 2.41-2.46, 1 Si 2.62
7 Rh 0.0000 0.0000 0.5000  4 Si 2.46
8 Rh 0.0000 0.2137 0.2137  4 Si 2.41-2.44
9 Rh 0.0000 0.5000 0.0000  4 Si 2.46
10 Rh 0.0000 0.7863 0.7863  4 Si 2.41-2.44
11 Rh 0.5000 0.2137 0.7137  4 Si 2.41-2.44
12 Rh 0.5000 0.7863 0.2863  4 Si 2.41-2.44

Record 7
Here is UTeSe after structural relaxation from the Materials Project. Energies are from PBE.

abc: 7.3507 3.9589 11.3831
angles: 90.00 90.00 90.00
Closest atoms and distances in Å follow each position.
Fractional coordinates of all 12 atoms:
1 U 0.1662 0.2500 0.1663  4 Se 2.84-2.93, 2 Te 3.11
2 U 0.3338 0.7500 0.6663  4 Se 2.84-2.93, 2 Te 3.11
3 U 0.6662 0.2500 0.3337  4 Se 2.84-2.93, 2 Te 3.11
4 U 0.8338 0.7500 0.8337  4 Se 2.84-2.93, 2 Te 3.11
5 Te 0.2228 0.7500 0.9591  4 U 3.11-3.43, 1 Se 3.44
6 Te 0.2772 0.2500 0.4591  4 U 3.11-3.43, 1 Se 3.44
7 Te 0.7228 0.7500 0.5409  4 U 3.11-3.43, 1 Se 3.44
8 Te 0.7772 0.2500 0.0409  4 U 3.11-3.43, 1 Se 3.44
9 Se 0.0540 0.2500 0.7250  4 U 2.84-2.93
10 Se 0.4460 0.7500 0.2250  4 U 2.84-2.93
11 Se 0.5540 0.2500 0.7750  4 U 2.84-2.93
12 Se 0.9460 0.7500 0.2750  4 U 2.84-2.93

Calculated values
Total magnetization: 8.0 μB/cell
Energy relative to the lowest polymorph listed for this composition: 0.027 eV/atom

Record 8
Here is Zn3Si4Sn2O14 after structural relaxation from the Materials Project. Energies are from PBE.

abc: 9.3396 9.3396 10.2461
angles: 119.63 119.63 55.14
Closest atoms and distances in Å follow each position.
Fractional coordinates of all 46 atoms:
1 Zn 0.0941 0.9059 0.7500  4 O 2.02-2.16
2 Zn 0.2054 0.4512 0.5923  3 O 1.91-2.03
3 Zn 0.4512 0.2054 0.0923  3 O 1.91-2.03
4 Zn 0.5488 0.7946 0.9077  3 O 1.91-2.03
5 Zn 0.7946 0.5488 0.4077  3 O 1.91-2.03
6 Zn 0.9059 0.0941 0.2500  4 O 2.02-2.16
7 Si 0.0080 0.6177 0.2957  4 O 1.63-1.64
8 Si 0.0121 0.7388 0.8916  4 O 1.63-1.67
9 Si 0.2612 0.9879 0.6084  4 O 1.63-1.67
10 Si 0.3823 0.9920 0.2043  4 O 1.63-1.64
11 Si 0.6177 0.0080 0.7957  4 O 1.63-1.64
12 Si 0.7388 0.0121 0.3916  4 O 1.63-1.67
13 Si 0.9879 0.2612 0.1084  4 O 1.63-1.67
14 Si 0.9920 0.3823 0.7043  4 O 1.63-1.64
15 Sn 0.2855 0.7145 0.2500  6 O 2.08-2.17
16 Sn 0.5000 0.5000 0.0000  4 O 2.27-2.37
17 Sn 0.5000 0.5000 0.5000  4 O 2.27-2.37
18 Sn 0.7145 0.2855 0.7500  6 O 2.08-2.17
19 O 0.0003 0.4048 0.5593  1 Si 1.64
20 O 0.9997 0.5952 0.4407  1 Si 1.64
21 O 0.0269 0.5440 0.8653  2 Si 1.63-1.64
22 O 0.0353 0.8457 0.0833  1 Si 1.67
23 O 0.1543 0.9647 0.4167  1 Si 1.67
24 O 0.1597 0.1850 0.7278  2 Si 1.64-1.65
25 O 0.1609 0.7038 0.8220  1 Si 1.67
26 O 0.1850 0.1597 0.2278  2 Si 1.64-1.65
27 O 0.2000 0.6123 0.3283  1 Si 1.63
28 O 0.2962 0.8391 0.6780  1 Si 1.67
29 O 0.3700 0.4485 0.1000  1 Zn 1.91, 1 Sn 2.08
30 O 0.3877 0.8000 0.1717  1 Si 1.63
31 O 0.4048 0.0003 0.0593  1 Si 1.64
32 O 0.4485 0.3700 0.6000  1 Zn 1.91, 1 Sn 2.08
33 O 0.4560 0.9731 0.6347  2 Si 1.63-1.64
34 O 0.5440 0.0269 0.3653  2 Si 1.63-1.64
35 O 0.5515 0.6300 0.4000  1 Zn 1.91, 1 Sn 2.08
36 O 0.5952 0.9997 0.9407  1 Si 1.64
37 O 0.6123 0.2000 0.8283  1 Si 1.63
38 O 0.6300 0.5515 0.9000  1 Zn 1.91, 1 Sn 2.08
39 O 0.7038 0.1609 0.3220  1 Si 1.67
40 O 0.8000 0.3877 0.6717  1 Si 1.63
41 O 0.8150 0.8403 0.7722  2 Si 1.64-1.65
42 O 0.8391 0.2962 0.1780  1 Si 1.67
43 O 0.8403 0.8150 0.2722  2 Si 1.64-1.65
44 O 0.8457 0.0353 0.5833  1 Si 1.67
45 O 0.9647 0.1543 0.9167  1 Si 1.67
46 O 0.9731 0.4560 0.1347  2 Si 1.63-1.64

Calculated values
Total magnetization: 0.0 μB/cell

Record 9
Here is CsNiN after structural relaxation from the Materials Project. Energies are from PBE.

abc: 5.5370 5.5370 3.4467
angles: 90.00 90.00 120.00
Closest atoms and distances in Å follow each position.
Fractional coordinates of all 3 atoms:
1 Cs 0.0000 0.0000 0.0000  3 N 3.20, 2 Cs 3.45
2 Ni 0.6667 0.3333 0.5000  2 N 1.72
3 N 0.6667 0.3333 0.0000  2 Ni 1.72

Calculated values
Total magnetization: 0.0 μB/cell
Energy relative to the lowest polymorph listed for this composition: 0.018 eV/atom

Number 1: energy relative to the elements -1404 meV per atom. Number 2: energy relative to the elements -2792 meV per atom. Number 3: energy relative to the elements -2448 meV per atom. Number 4: energy relative to the elements -208 meV per atom. Number 5: energy relative to the elements -3302 meV per atom. Number 6: energy relative to the elements -1059 meV per atom. Number 7: energy relative to the elements -1050 meV per atom. Number 8: energy relative to the elements -2437 meV per atom. Number 9: energy relative to the elements 12 meV per atom.